Record 1
## Ni3H (PBE)

Data for an optimized crystal structure of Ni3H.

Calculated values
Volume = 9.544 Å³/atom
Energy above the lowest structure with this stoichiometry = 0.0249 eV per atom
Calculated formation energy = 46.1 kJ per mole of atoms

Cell lengths 5.3450, 5.3450, 5.3450 Å; angles 90.00, 90.00, 90.00 degrees
Closest atoms and distances in Å follow each position.
Space group Fm-3m (No. 225)
Unique sites:
Ni: 0.0000 0.0000 0.0000 [4 per cell]  8 Ni 2.31
Ni: 0.2500 0.2500 0.2500 [8 per cell]  4 H 2.31, 4 Ni 2.31
H: 0.0000 0.0000 0.5000 [4 per cell]  8 Ni 2.31

=====

Record 2
## LiPt (PBE)

Data for an optimized crystal structure of LiPt.

Calculated values
Volume = 14.064 Å³/atom
Calculated formation energy = -58.6 kJ per mole of atoms

Cell lengths 2.7671, 2.7671, 4.2419 Å; angles 90.00, 90.00, 120.00 degrees
Closest atoms and distances in Å follow each position.
Space group P-6m2 (No. 187)
Unique sites:
Li: 0.0000 0.0000 0.0000 [1 per cell]  6 Pt 2.66, 6 Li 2.77
Pt: 0.6667 0.3333 0.5000 [1 per cell]  6 Li 2.66, 6 Pt 2.77

=====

Record 3
## CsInS2 (PBE)

Data for an optimized crystal structure of CsInS2.

Calculated values
Volume = 33.376 Å³/atom
Calculated formation energy = -116.7 kJ per mole of atoms

Cell lengths 11.4352, 11.4334, 16.5846 Å; angles 90.00, 99.89, 90.00 degrees
Closest atoms and distances in Å follow each position.
Space group C2/c (No. 15)
Unique sites:
Cs: 0.0358 0.1872 0.3922 [8 per cell]  6 S 3.58-3.63
Cs: 0.2143 0.4386 0.1069 [8 per cell]  6 S 3.57-3.70
In: 0.1027 0.1890 0.6655 [8 per cell]  4 S 2.49-2.51
In: 0.1450 0.4364 0.8345 [8 per cell]  4 S 2.49-2.52
S: 0.0000 0.0565 0.7500 [4 per cell]  2 In 2.49
S: 0.0000 0.4313 0.2500 [4 per cell]  2 In 2.49
S: 0.0434 0.3133 0.9271 [8 per cell]  2 In 2.51
S: 0.2062 0.0626 0.5755 [8 per cell]  2 In 2.51-2.52
S: 0.2435 0.1884 0.2492 [8 per cell]  2 In 2.49

=====

Record 4
## CsSi2N3 (PBE)

Data for an optimized crystal structure of CsSi2N3.

Calculated values
Volume = 12.603 Å³/atom
Calculated formation energy = -70.8 kJ per mole of atoms

Cell lengths 9.7753, 5.9166, 5.2299 Å; angles 90.00, 90.00, 90.00 degrees
Closest atoms and distances in Å follow each position.
Space group Cmc2_1 (No. 36)
Unique sites:
Cs: 0.0000 0.1488 0.0000 [4 per cell]  10 N 2.85-3.12, 2 Cs 3.15, 2 Si 3.19
Si: 0.1740 0.3649 0.4992 [8 per cell]  4 N 1.70-1.89
N: 0.0000 0.3509 0.4942 [4 per cell]  2 Si 1.70
N: 0.2406 0.3809 0.8313 [8 per cell]  3 Si 1.86-1.89

=====

Record 5
## Tc3Sn (PBE)

Data for an optimized crystal structure of Tc3Sn.

Calculated values
Volume = 16.175 Å³/atom
Energy above the lowest structure with this stoichiometry = 0.0000 eV per atom
Calculated formation energy = 19.4 kJ per mole of atoms

Cell lengths 2.9416, 2.9416, 8.6334 Å; angles 90.00, 90.00, 120.00 degrees
Closest atoms and distances in Å follow each position.
Space group P-6m2 (No. 187)
Unique sites:
Tc: 0.0000 0.0000 0.0000 [1 per cell]  12 Tc 2.67-2.94
Tc: 0.3333 0.6667 0.2382 [2 per cell]  9 Tc 2.67-2.94, 3 Sn 2.83
Sn: 0.0000 0.0000 0.5000 [1 per cell]  6 Tc 2.83, 6 Sn 2.94

=====

Record 6
## Ho2MgSe4 (PBE)

Data for an optimized crystal structure of Ho2MgSe4.

Calculated values
Volume = 28.258 Å³/atom
Energy above the lowest structure with this stoichiometry = 0.0212 eV per atom
Calculated formation energy = -187.2 kJ per mole of atoms

Cell lengths 14.1017, 8.2235, 6.8229 Å; angles 90.00, 90.00, 90.00 degrees
Closest atoms and distances in Å follow each position.
Space group Pnma (No. 62)
Unique sites:
Ho: 0.0000 0.0000 0.0000 [4 per cell]  6 Se 2.82-2.90
Ho: 0.2343 0.2500 0.4975 [4 per cell]  6 Se 2.83-2.92
Mg: 0.0924 0.7500 0.5798 [4 per cell]  4 Se 2.53-2.61
Se: 0.0733 0.2500 0.2499 [4 per cell]  1 Mg 2.61, 3 Ho 2.83-2.86
Se: 0.0916 0.7500 0.2093 [4 per cell]  1 Mg 2.53, 2 Ho 2.82
Se: 0.1693 0.5055 0.7592 [8 per cell]  1 Mg 2.59, 1 Ho 2.90

=====

Record 7
## KCu2S2 (PBE)

Data for an optimized crystal structure of KCu2S2.

Calculated values
Volume = 19.495 Å³/atom
Calculated formation energy = -73.5 kJ per mole of atoms

Cell lengths 3.8295, 3.8295, 13.2936 Å; angles 90.00, 90.00, 90.00 degrees
Closest atoms and distances in Å follow each position.
Space group I4/mmm (No. 139)
Unique sites:
K: 0.0000 0.0000 0.0000 [2 per cell]  8 S 3.34
Cu: 0.0000 0.5000 0.2500 [4 per cell]  4 S 2.35
S: 0.0000 0.0000 0.3526 [4 per cell]  4 Cu 2.35

=====

Record 8
## Na6Ca2Si3Sn2S3O24 (PBE)

Data for an optimized crystal structure of Na6Ca2Si3Sn2S3O24.

Calculated values
Volume = 14.251 Å³/atom
Calculated formation energy = -232.9 kJ per mole of atoms

Cell lengths 9.2689, 9.2963, 22.8679 Å; angles 90.18, 90.53, 119.78 degrees
Closest atoms and distances in Å follow each position.
Space group P1 (No. 1)
Unique sites:
Na: 0.0000 0.0000 0.0000 [1 per cell]  4 O 2.34-2.60
Na: 0.9998 0.2412 0.4958 [1 per cell]  4 O 2.35-2.59
Na: 0.0473 0.3083 0.8318 [1 per cell]  5 O 2.40-2.66
Na: 0.0600 0.9849 0.3307 [1 per cell]  5 O 2.41-2.67
Na: 0.3185 0.2778 0.9186 [1 per cell]  3 O 2.38-2.60
Na: 0.3247 0.2678 0.4129 [1 per cell]  3 O 2.40-2.54
Na: 0.3302 0.9376 0.1788 [1 per cell]  4 O 2.42-2.60
Na: 0.3309 0.6364 0.6705 [1 per cell]  3 O 2.38-2.56
Na: 0.6623 0.3056 0.3279 [1 per cell]  5 O 2.46-2.72
Na: 0.6663 0.2650 0.0145 [1 per cell]  5 O 2.52-2.81
Na: 0.6675 0.6446 0.5077 [1 per cell]  4 O 2.49-2.76
Na: 0.6796 0.6013 0.8224 [1 per cell]  3 O 2.32-2.50
Na: 0.6868 0.9608 0.0914 [1 per cell]  3 O 2.39-2.57
Na: 0.6892 0.9700 0.5851 [1 per cell]  5 O 2.45-2.73
Na: 0.9719 0.2921 0.1651 [1 per cell]  2 O 2.28-2.55
Na: 0.9770 0.9218 0.6583 [1 per cell]  3 O 2.30-2.56
Na: 0.9867 0.6089 0.7429 [1 per cell]  2 O 2.35-2.42
Na: 0.9933 0.6252 0.2478 [1 per cell]  5 O 2.51-2.74
Ca: 0.3384 0.2830 0.7691 [1 per cell]  5 O 2.14-2.36
Ca: 0.3413 0.2985 0.2712 [1 per cell]  6 O 2.15-2.32
Ca: 0.6765 0.9613 0.4358 [1 per cell]  5 O 2.10-2.34
Ca: 0.6785 0.9599 0.9370 [1 per cell]  6 O 2.12-2.35
Ca: 0.9974 0.6185 0.6045 [1 per cell]  6 O 2.14-2.35
Ca: 0.9977 0.6219 0.1065 [1 per cell]  6 O 2.16-2.37
Si: 0.0203 0.3309 0.0047 [1 per cell]  4 O 1.58-1.74
Si: 0.0195 0.9292 0.5057 [1 per cell]  4 O 1.59-1.71
Si: 0.0321 0.9915 0.1745 [1 per cell]  4 O 1.58-1.73
Si: 0.0414 0.2903 0.6735 [1 per cell]  4 O 1.60-1.70
Si: 0.3780 0.9542 0.3340 [1 per cell]  4 O 1.56-1.70
Si: 0.6348 0.5881 0.6725 [1 per cell]  4 O 1.59-1.73
Si: 0.6358 0.2878 0.1712 [1 per cell]  4 O 1.58-1.75
Si: 0.9756 0.2693 0.3420 [1 per cell]  4 O 1.60-1.71
Si: 0.9799 0.9502 0.8420 [1 per cell]  4 O 1.60-1.72
Sn: 0.0176 0.6250 0.9042 [1 per cell]  4 O 2.03-2.24
Sn: 0.0316 0.6472 0.3978 [1 per cell]  5 O 2.01-2.23
Sn: 0.3231 0.2871 0.0776 [1 per cell]  4 O 2.01-2.11
Sn: 0.3317 0.2827 0.5728 [1 per cell]  4 O 2.02-2.18
Sn: 0.6814 0.9836 0.2364 [1 per cell]  4 O 2.02-2.09
Sn: 0.6974 0.9536 0.7321 [1 per cell]  3 O 2.02-2.04
S: 0.3038 0.6166 0.5049 [1 per cell]  4 O 1.46-1.53
S: 0.3050 0.9299 0.0048 [1 per cell]  4 O 1.45-1.53
S: 0.3538 0.9969 0.6692 [1 per cell]  4 O 1.45-1.51
S: 0.3547 0.5986 0.1688 [1 per cell]  4 O 1.44-1.53
S: 0.3738 0.6651 0.8351 [1 per cell]  4 O 1.45-1.52
S: 0.6813 0.2579 0.8378 [1 per cell]  4 O 1.46-1.54
S: 0.6845 0.6692 0.3379 [1 per cell]  4 O 1.46-1.53
S: 0.7018 0.6144 0.0012 [1 per cell]  4 O 1.45-1.54
S: 0.7043 0.3322 0.5015 [1 per cell]  4 O 1.46-1.52
O: 0.0330 0.8208 0.1659 [1 per cell]  1 Si 1.60
O: 0.0358 0.8335 0.4445 [1 per cell]  1 Si 1.70
O: 0.0380 0.4601 0.6664 [1 per cell]  1 Si 1.60
O: 0.0438 0.4410 0.9408 [1 per cell]  1 Si 1.74
O: 0.1090 0.1135 0.1128 [1 per cell]  1 Si 1.73
O: 0.1259 0.2486 0.6146 [1 per cell]  1 Si 1.70
O: 0.1353 0.3036 0.7339 [1 per cell]  1 Si 1.60
O: 0.1408 0.0815 0.2308 [1 per cell]  1 Si 1.58
O: 0.1573 0.1166 0.8373 [1 per cell]  1 Si 1.61
O: 0.1570 0.2913 0.3355 [1 per cell]  1 Si 1.60
O: 0.1842 0.7887 0.3346 [1 per cell]  1 Si 1.69
O: 0.1905 0.1231 0.5074 [1 per cell]  1 Si 1.71
O: 0.1906 0.3067 0.0079 [1 per cell]  1 Si 1.70
O: 0.1944 0.5917 0.4524 [1 per cell]  1 S 1.51
O: 0.1971 0.8473 0.9505 [1 per cell]  1 S 1.53
O: 0.1978 0.6379 0.8372 [1 per cell]  1 S 1.52
O: 0.2089 0.6214 0.1616 [1 per cell]  1 S 1.48
O: 0.2086 0.8293 0.6621 [1 per cell]  1 S 1.48
O: 0.2281 0.8358 0.0570 [1 per cell]  1 S 1.45
O: 0.2295 0.6351 0.5583 [1 per cell]  1 S 1.46
O: 0.3130 0.4572 0.5063 [1 per cell]  1 S 1.53
O: 0.3154 0.0979 0.0058 [1 per cell]  1 S 1.52
O: 0.3273 0.0726 0.7205 [1 per cell]  1 S 1.45
O: 0.3278 0.4950 0.2190 [1 per cell]  1 S 1.44
O: 0.3587 0.1178 0.3336 [1 per cell]  1 Si 1.62
O: 0.3626 0.5003 0.8340 [1 per cell]  1 S 1.48
O: 0.3765 0.5179 0.1135 [1 per cell]  1 S 1.53
O: 0.3790 0.1001 0.6153 [1 per cell]  1 S 1.51
O: 0.4476 0.7602 0.7797 [1 per cell]  1 S 1.51
O: 0.4600 0.9223 0.2724 [1 per cell]  1 Si 1.70
O: 0.4703 0.7549 0.8863 [1 per cell]  1 S 1.45
O: 0.4737 0.7562 0.4989 [1 per cell]  1 S 1.47
O: 0.4742 0.9565 0.9981 [1 per cell]  1 S 1.47
O: 0.4876 0.9771 0.3895 [1 per cell]  1 Si 1.56
O: 0.5065 0.9799 0.6745 [1 per cell]  1 S 1.50
O: 0.5080 0.7636 0.1722 [1 per cell]  1 S 1.49
O: 0.5132 0.4927 0.6120 [1 per cell]  1 Si 1.72
O: 0.5136 0.2624 0.1088 [1 per cell]  1 Si 1.75
O: 0.5388 0.3286 0.5072 [1 per cell]  1 S 1.52
O: 0.5406 0.4554 0.0064 [1 per cell]  1 S 1.50
O: 0.5441 0.2933 0.8330 [1 per cell]  1 S 1.47
O: 0.5460 0.5000 0.3313 [1 per cell]  1 S 1.46
O: 0.5553 0.3075 0.2291 [1 per cell]  1 Si 1.58
O: 0.5553 0.4954 0.7321 [1 per cell]  1 Si 1.59
O: 0.6290 0.7707 0.6707 [1 per cell]  1 Si 1.73
O: 0.6316 0.1029 0.1686 [1 per cell]  1 Si 1.70
O: 0.6642 0.1686 0.8919 [1 per cell]  1 S 1.46
O: 0.6673 0.7379 0.3933 [1 per cell]  1 S 1.46
O: 0.6755 0.7572 0.9956 [1 per cell]  1 S 1.47
O: 0.6809 0.1644 0.4976 [1 per cell]  1 S 1.47
O: 0.6968 0.1684 0.7854 [1 per cell]  1 S 1.50
O: 0.7051 0.7784 0.2870 [1 per cell]  1 S 1.50
O: 0.7803 0.5891 0.9458 [1 per cell]  1 S 1.54
O: 0.7811 0.4344 0.4480 [1 per cell]  1 S 1.50
O: 0.8093 0.4113 0.5529 [1 per cell]  1 S 1.46
O: 0.8130 0.6465 0.0508 [1 per cell]  1 S 1.45
O: 0.8270 0.4304 0.1659 [1 per cell]  1 Si 1.61
O: 0.8269 0.6382 0.6682 [1 per cell]  1 Si 1.61
O: 0.8447 0.4248 0.8386 [1 per cell]  1 S 1.54
O: 0.8452 0.6609 0.3390 [1 per cell]  1 S 1.53
O: 0.8452 0.9805 0.1771 [1 per cell]  1 Si 1.69
O: 0.8510 0.1861 0.2816 [1 per cell]  1 Si 1.71
O: 0.8543 0.1125 0.6725 [1 per cell]  1 Si 1.70
O: 0.8542 0.9085 0.7811 [1 per cell]  1 Si 1.72
O: 0.8548 0.9502 0.5024 [1 per cell]  1 Si 1.63
O: 0.8556 0.1465 0.9999 [1 per cell]  1 Si 1.64
O: 0.8891 0.9659 0.8986 [1 per cell]  1 Si 1.60
O: 0.8975 0.1603 0.3992 [1 per cell]  1 Si 1.60
O: 0.9663 0.4479 0.3464 [1 per cell]  1 Si 1.71
O: 0.9805 0.7651 0.8439 [1 per cell]  1 Si 1.72
O: 0.9934 0.4188 0.0592 [1 per cell]  1 Si 1.58
O: 0.9987 0.8262 0.5634 [1 per cell]  1 Si 1.59

=====

Record 9
## CaMg6B (PBE)

Data for an optimized crystal structure of CaMg6B.

Calculated values
Volume = 22.995 Å³/atom
Energy above the lowest structure with this stoichiometry = 0.0000 eV per atom
Calculated formation energy = 26.2 kJ per mole of atoms

Cell lengths 4.0130, 6.1885, 14.8153 Å; angles 90.00, 90.00, 90.00 degrees
Closest atoms and distances in Å follow each position.
Space group Amm2 (No. 38)
Unique sites:
Ca: 0.0000 0.0000 0.0000 [2 per cell]  4 Mg 3.15-3.26, 2 B 3.33
Mg: 0.0000 0.0000 0.5696 [2 per cell]  6 Mg 2.98-3.06, 2 Ca 3.26
Mg: 0.0000 0.2258 0.8095 [4 per cell]  2 B 2.45
Mg: 0.5000 0.0000 0.4141 [2 per cell]  6 Mg 3.05-3.06, 2 B 3.39
Mg: 0.5000 0.2446 0.1727 [4 per cell]  1 B 2.70, 4 Mg 2.86-2.98
B: 0.5000 0.0000 0.8203 [2 per cell]  6 Mg 2.45-2.70

=====

Record 10
## SbP4O12 (PBE)

Data for an optimized crystal structure of SbP4O12.

Calculated values
Volume = 12.956 Å³/atom
Energy above the lowest structure with this stoichiometry = 0.0244 eV per atom
Calculated formation energy = -227.0 kJ per mole of atoms

Cell lengths 7.2141, 13.0065, 11.6484 Å; angles 90.00, 126.28, 90.00 degrees
Closest atoms and distances in Å follow each position.
Space group P2_1/c (No. 14)
Unique sites:
Sb: 0.0232 0.2243 0.0174 [4 per cell]  7 O 2.18-2.42
P: 0.0598 0.0926 0.2861 [4 per cell]  4 O 1.49-1.63
P: 0.1690 0.6301 0.8028 [4 per cell]  4 O 1.50-1.60
P: 0.3927 0.6102 0.2756 [4 per cell]  4 O 1.49-1.61
P: 0.4980 0.1131 0.7595 [4 per cell]  4 O 1.51-1.61
O: 0.0051 0.1287 0.8578 [4 per cell]  1 P 1.52
O: 0.1214 0.1087 0.1828 [4 per cell]  1 P 1.52
O: 0.1457 0.1661 0.4061 [4 per cell]  1 P 1.49
O: 0.1607 0.5192 0.8598 [4 per cell]  2 P 1.60-1.63
O: 0.1611 0.7126 0.8891 [4 per cell]  1 P 1.50
O: 0.2137 0.5747 0.3082 [4 per cell]  2 P 1.61
O: 0.2767 0.6826 0.1496 [4 per cell]  1 P 1.51
O: 0.2801 0.1741 0.7013 [4 per cell]  1 P 1.52
O: 0.3064 0.6236 0.5845 [4 per cell]  1 P 1.51
O: 0.3913 0.1475 0.0907 [4 per cell]  1 P 1.49
O: 0.4219 0.6351 0.8411 [4 per cell]  2 P 1.60-1.61
O: 0.4264 0.5049 0.2184 [4 per cell]  2 P 1.60

=====

Record 11
## Er5NiPb3 (PBE)

Data for an optimized crystal structure of Er5NiPb3.

Calculated values
Volume = 26.495 Å³/atom
Calculated formation energy = -49.5 kJ per mole of atoms

Cell lengths 9.1022, 9.1022, 6.6469 Å; angles 90.00, 90.00, 120.00 degrees
Closest atoms and distances in Å follow each position.
Space group P6_3/mcm (No. 193)
Unique sites:
Er: 0.0000 0.2375 0.2500 [6 per cell]  2 Ni 2.73
Er: 0.3333 0.6667 0.0000 [4 per cell]  6 Pb 3.24, 2 Er 3.32
Ni: 0.0000 0.0000 0.0000 [2 per cell]  6 Er 2.73
Pb: 0.0000 0.3993 0.7500 [6 per cell]  7 Er 3.17-3.31

=====

Record 12
## MgCd (PBE)

Data for an optimized crystal structure of MgCd.

Calculated values
Volume = 22.359 Å³/atom
Calculated formation energy = -0.7 kJ per mole of atoms

Cell lengths 3.1594, 3.1594, 15.5193 Å; angles 90.00, 90.00, 120.00 degrees
Closest atoms and distances in Å follow each position.
Space group P3m1 (No. 156)
Unique sites:
Mg: 0.0000 0.0000 0.0000 [1 per cell]  6 Cd 3.15-3.16, 6 Mg 3.16
Mg: 0.0000 0.0000 0.3325 [1 per cell]  3 Cd 3.16, 9 Mg 3.16-3.18
Mg: 0.6667 0.3333 0.5007 [1 per cell]  3 Cd 3.14, 9 Mg 3.16-3.18
Cd: 0.0000 0.0000 0.6656 [1 per cell]  3 Mg 3.14, 9 Cd 3.16-3.19
Cd: 0.6667 0.3333 0.1665 [1 per cell]  6 Mg 3.16, 6 Cd 3.16
Cd: 0.6667 0.3333 0.8346 [1 per cell]  3 Mg 3.15, 9 Cd 3.16-3.19